A plane-wave DFT calculation with PBE-GGA was carried out for an optimized crystal structure of Dy7Ru2C11. Values from VASP.

Geometry as Quantum ESPRESSO input:
```
&SYSTEM
  ibrav = 0, nat = 40, ntyp = 3
/
ATOMIC_SPECIES
Dy 162.50 Dy.upf
Ru 101.07 Ru.upf
C 12.01 C.upf
CELL_PARAMETERS angstrom
-0.711 1.430 3.055
2.782 -7.665 2.290
18.648 7.076 1.031
ATOMIC_POSITIONS crystal
Dy 0.898 0.795 0.250
Dy 0.102 0.205 0.750
Dy 0.278 0.556 0.655
Dy 0.722 0.444 0.345
Dy 0.722 0.444 0.155
Dy 0.278 0.556 0.845
Dy 0.339 0.678 0.019
Dy 0.661 0.322 0.981
Dy 0.661 0.322 0.519
Dy 0.339 0.678 0.481
Dy 0.523 0.045 0.127
Dy 0.477 0.955 0.873
Dy 0.477 0.955 0.627
Dy 0.523 0.045 0.373
Ru 0.081 0.163 0.250
Ru 0.919 0.837 0.750
Ru 0.000 0.000 0.000
Ru 0.000 0.000 0.500
C 0.279 0.557 0.250
C 0.721 0.443 0.750
C 0.505 0.009 0.250
C 0.495 0.991 0.750
C 0.074 0.147 0.579
C 0.926 0.853 0.421
C 0.926 0.853 0.079
C 0.074 0.147 0.921
C 0.133 0.265 0.623
C 0.867 0.735 0.377
C 0.867 0.735 0.123
C 0.133 0.265 0.877
C 0.206 0.412 0.063
C 0.794 0.588 0.937
C 0.794 0.588 0.563
C 0.206 0.412 0.437
C 0.198 0.397 0.250
C 0.802 0.603 0.750
C 0.127 0.254 0.084
C 0.873 0.746 0.916
C 0.873 0.746 0.584
C 0.127 0.254 0.416
```

Values from the calculation:
- Calculated formation energy: -0.27 eV per atom
- M_tot: 0.0 μB/f.u.